Fe2P2H4O9 PBE+U optimized geometry; theoretical density = 3.1 g/cm3; energy = -6.414 eV/atom; ΔH_f (0 K) = -1.992 eV/atom; V = 697 Å³ per cell
1.0
-0.449 -11.764 8.227
3.742 -3.165 -4.321
9.380 -0.502 -0.206
Fe P H O
8 8 16 36
direct
0.610 0.818 0.918
0.110 0.182 0.582
0.390 0.182 0.082
0.890 0.818 0.418
0.247 0.704 0.346
0.747 0.296 0.154
0.753 0.296 0.654
0.253 0.704 0.846
0.414 0.611 0.148
0.914 0.389 0.352
0.586 0.389 0.852
0.086 0.611 0.648
0.313 0.147 0.422
0.813 0.853 0.078
0.687 0.853 0.578
0.187 0.147 0.922
0.449 0.978 0.684
0.949 0.022 0.816
0.551 0.022 0.316
0.051 0.978 0.184
0.475 0.165 0.729
0.975 0.835 0.771
0.525 0.835 0.271
0.025 0.165 0.229
0.397 0.638 0.536
0.897 0.362 0.964
0.603 0.362 0.464
0.103 0.638 0.036
0.325 0.441 0.682
0.825 0.559 0.818
0.675 0.559 0.318
0.175 0.441 0.182
0.518 0.673 0.126
0.018 0.327 0.374
0.482 0.327 0.874
0.982 0.673 0.626
0.358 0.802 0.156
0.858 0.198 0.344
0.642 0.198 0.844
0.142 0.802 0.656
0.373 0.571 0.015
0.873 0.429 0.485
0.627 0.429 0.985
0.127 0.571 0.515
0.405 0.329 0.344
0.905 0.671 0.156
0.595 0.671 0.656
0.095 0.329 0.844
0.231 0.322 0.396
0.731 0.678 0.104
0.769 0.678 0.604
0.269 0.322 0.896
0.299 0.056 0.306
0.799 0.944 0.194
0.701 0.944 0.694
0.201 0.056 0.806
0.338 0.930 0.618
0.838 0.070 0.882
0.662 0.070 0.382
0.162 0.930 0.118
0.502 0.042 0.714
0.002 0.958 0.786
0.498 0.958 0.286
0.998 0.042 0.214
0.349 0.513 0.561
0.849 0.487 0.939
0.651 0.487 0.439
0.151 0.513 0.061


Eu2ZrWO6 PBE+U optimized geometry; theoretical density = 7.9 g/cm3; energy = -9.305 eV/atom; ΔH_f (0 K) = -2.990 eV/atom; V = 142 Å³ per cell
1.0
-1.342 2.121 -5.288
-5.256 2.397 -0.945
-0.481 5.779 -0.800
Eu Zr W O
2 1 1 6
direct
0.250 0.250 0.250
0.750 0.750 0.750
0.000 0.000 0.000
0.500 0.500 0.500
0.747 0.253 0.253
0.253 0.747 0.747
0.747 0.253 0.747
0.253 0.747 0.253
0.747 0.747 0.253
0.253 0.253 0.747


Fe10O9F11 PBE+U optimized geometry; distance to the lowest polymorph of the same formula = 16 meV per atom; theoretical density = 4.3 g/cm3; energy = -5.952 eV/atom; ΔH_f (0 K) = -2.070 eV/atom; V = 351 Å³ per cell
1.0
-12.525 1.661 -8.988
1.630 -3.397 -2.900
-2.222 -3.423 2.463
Fe O F
10 9 11
direct
0.303 0.994 0.986
0.500 0.977 0.974
0.697 0.994 0.986
0.909 0.971 0.012
0.091 0.971 0.012
0.388 0.524 0.523
0.798 0.502 0.481
0.612 0.524 0.523
0.000 0.543 0.502
0.202 0.502 0.481
0.402 0.812 0.806
0.598 0.812 0.806
0.000 0.798 0.800
0.299 0.702 0.295
0.701 0.702 0.295
0.897 0.686 0.315
0.103 0.686 0.315
0.297 0.302 0.695
0.703 0.302 0.695
0.799 0.801 0.803
0.201 0.801 0.803
0.500 0.696 0.312
0.500 0.316 0.693
0.899 0.296 0.705
0.101 0.296 0.705
0.405 0.199 0.194
0.799 0.189 0.188
0.595 0.199 0.194
0.201 0.189 0.188
0.000 0.213 0.217